a.
VASP calculation (GGA+U) on crystalline Nd4W3O15 at its relaxed geometry.

Structure (POSCAR):
```
Nd4W3O15
1.0
7.1593 -7.1672 0.0000
7.1593 7.1672 0.0000
-0.0709 0.0000 12.3884
Nd W O
16 12 60
Direct
0.0000 0.0000 0.0000 Nd
0.0126 0.5159 0.9986 Nd
0.2358 0.7642 0.5000 Nd
0.2366 0.0339 0.2683 Nd
0.2384 0.4988 0.2637 Nd
0.4691 0.5309 0.0000 Nd
0.4721 0.2652 0.7616 Nd
0.4841 0.9874 0.0014 Nd
0.5012 0.7616 0.7363 Nd
0.5047 0.0356 0.5026 Nd
0.5059 0.4941 0.5000 Nd
0.7333 0.2667 0.0000 Nd
0.7348 0.5279 0.2384 Nd
0.9644 0.4953 0.4974 Nd
0.9658 0.0342 0.5000 Nd
0.9661 0.7634 0.7317 Nd
0.0388 0.7644 0.2697 W
0.2342 0.2651 0.5451 W
0.2346 0.5689 0.7276 W
0.2356 0.9612 0.7303 W
0.2366 0.2678 0.0496 W
0.4311 0.7654 0.2724 W
0.5450 0.2604 0.2314 W
0.7322 0.7634 0.9504 W
0.7349 0.7658 0.4549 W
0.7390 0.0724 0.7699 W
0.7396 0.4550 0.7686 W
0.9276 0.2610 0.2301 W
0.0306 0.6265 0.1682 O
0.0395 0.9069 0.1729 O
0.0471 0.2665 0.5504 O
0.0835 0.2748 0.9728 O
0.0906 0.8964 0.3833 O
0.0921 0.5707 0.8241 O
0.0932 0.6306 0.3818 O
0.0931 0.9605 0.8271 O
0.1041 0.6203 0.6150 O
0.1036 0.9094 0.6167 O
0.1146 0.2801 0.1927 O
0.2348 0.7599 0.2445 O
0.2365 0.0779 0.0681 O
0.2399 0.4642 0.0646 O
0.2401 0.7652 0.7555 O
0.2415 0.1213 0.4526 O
0.2433 0.4038 0.4481 O
0.2471 0.3909 0.6801 O
0.2477 0.1382 0.6807 O
0.3565 0.2790 0.1886 O
0.3644 0.2734 0.9446 O
0.3676 0.6220 0.6162 O
0.3694 0.9068 0.6182 O
0.3741 0.5619 0.8275 O
0.3735 0.9694 0.8318 O
0.3780 0.6324 0.3838 O
0.3797 0.8959 0.3850 O
0.4293 0.9079 0.1759 O
0.4315 0.2655 0.5599 O
0.4381 0.6259 0.1725 O
0.4956 0.1388 0.3346 O
0.5351 0.4154 0.3235 O
0.5358 0.7601 0.9354 O
0.5759 0.1453 0.1135 O
0.5841 0.0671 0.6773 O
0.5846 0.4649 0.6765 O
0.5938 0.4011 0.1189 O
0.5962 0.7567 0.5519 O
0.5989 0.1259 0.8813 O
0.5989 0.4062 0.8811 O
0.6091 0.7529 0.3199 O
0.7199 0.8854 0.8073 O
0.7210 0.6435 0.8114 O
0.7252 0.9165 0.0272 O
0.7266 0.6356 0.0554 O
0.7335 0.9529 0.4496 O
0.7345 0.5685 0.4401 O
0.7347 0.2630 0.2660 O
0.7370 0.2653 0.7340 O
0.8555 0.1088 0.8859 O
0.8547 0.4241 0.8865 O
0.8612 0.5044 0.6654 O
0.8616 0.0259 0.6662 O
0.8618 0.7523 0.3193 O
0.8741 0.4011 0.1187 O
0.8787 0.7585 0.5474 O
0.8912 0.1445 0.1141 O
0.9221 0.7635 0.9319 O
0.9329 0.4159 0.3227 O
0.9741 0.1384 0.3338 O
```

---

b.
VASP calculation (GGA+U) on crystalline Nd4W3O15 at its relaxed geometry.

Structure (POSCAR):
```
Nd4W3O15
1.0
24.5822 0.0000 0.0000
0.0000 10.0571 0.0000
0.0000 0.0000 10.2920
Nd W O
32 24 120
Direct
0.0076 0.0060 0.2502 Nd
0.0076 0.4940 0.2502 Nd
0.1265 0.7500 0.2485 Nd
0.1286 0.0288 0.5038 Nd
0.1286 0.4712 0.5038 Nd
0.1295 0.0070 0.9728 Nd
0.1295 0.4930 0.9728 Nd
0.2430 0.7500 0.5047 Nd
0.2570 0.2500 0.0047 Nd
0.3705 0.5070 0.4728 Nd
0.3705 0.9930 0.4728 Nd
0.3714 0.5288 0.0038 Nd
0.3714 0.9712 0.0038 Nd
0.3735 0.2500 0.7485 Nd
0.4924 0.5060 0.7502 Nd
0.4924 0.9940 0.7502 Nd
0.5076 0.0060 0.2498 Nd
0.5076 0.4940 0.2498 Nd
0.6265 0.7500 0.2515 Nd
0.6286 0.0288 0.9962 Nd
0.6286 0.4712 0.9962 Nd
0.6295 0.0070 0.5272 Nd
0.6295 0.4930 0.5272 Nd
0.7430 0.7500 0.9953 Nd
0.7570 0.2500 0.4953 Nd
0.8705 0.5070 0.0272 Nd
0.8705 0.9930 0.0272 Nd
0.8714 0.5288 0.4962 Nd
0.8714 0.9712 0.4962 Nd
0.8735 0.2500 0.7515 Nd
0.9924 0.5060 0.7498 Nd
0.9924 0.9940 0.7498 Nd
0.0078 0.7500 0.0493 W
0.0101 0.7500 0.4462 W
0.1025 0.7500 0.7448 W
0.1466 0.2500 0.2481 W
0.2394 0.5552 0.2423 W
0.2394 0.9448 0.2423 W
0.2606 0.0552 0.7423 W
0.2606 0.4448 0.7423 W
0.3534 0.7500 0.7481 W
0.3975 0.2500 0.2448 W
0.4899 0.2500 0.9462 W
0.4922 0.2500 0.5493 W
0.5078 0.7500 0.4507 W
0.5101 0.7500 0.0538 W
0.6025 0.7500 0.7552 W
0.6466 0.2500 0.2519 W
0.7394 0.5552 0.2577 W
0.7394 0.9448 0.2577 W
0.7606 0.0552 0.7577 W
0.7606 0.4448 0.7577 W
0.8534 0.7500 0.7519 W
0.8975 0.2500 0.2552 W
0.9899 0.2500 0.5538 W
0.9922 0.2500 0.9507 W
0.0047 0.2500 0.7463 O
0.0231 0.7500 0.8724 O
0.0307 0.7500 0.6237 O
0.0382 0.1070 0.5466 O
0.0382 0.3930 0.5466 O
0.0413 0.1084 0.9443 O
0.0413 0.3916 0.9443 O
0.0641 0.6197 0.1018 O
0.0641 0.8803 0.1018 O
0.0665 0.6180 0.3949 O
0.0665 0.8820 0.3949 O
0.0897 0.5613 0.7479 O
0.0897 0.9387 0.7479 O
0.0975 0.1105 0.2497 O
0.0975 0.3895 0.2497 O
0.1388 0.7500 0.8962 O
0.1495 0.2500 0.4370 O
0.1528 0.7500 0.6196 O
0.1545 0.2500 0.0599 O
0.1814 0.5978 0.1261 O
0.1814 0.9022 0.1261 O
0.1821 0.6093 0.3833 O
0.1821 0.8907 0.3833 O
0.2063 0.0109 0.6303 O
0.2063 0.4891 0.6303 O
0.2115 0.1209 0.2507 O
0.2115 0.3791 0.2507 O
0.2144 0.0594 0.8942 O
0.2144 0.4406 0.8942 O
0.2471 0.2500 0.7439 O
0.2529 0.7500 0.2439 O
0.2856 0.5594 0.3942 O
0.2856 0.9406 0.3942 O
0.2885 0.6209 0.7507 O
0.2885 0.8791 0.7507 O
0.2937 0.5109 0.1303 O
0.2937 0.9891 0.1303 O
0.3179 0.1093 0.8833 O
0.3179 0.3907 0.8833 O
0.3186 0.0978 0.6261 O
0.3186 0.4022 0.6261 O
0.3455 0.7500 0.5599 O
0.3472 0.2500 0.1196 O
0.3505 0.7500 0.9370 O
0.3612 0.2500 0.3962 O
0.4025 0.6105 0.7497 O
0.4025 0.8895 0.7497 O
0.4103 0.0613 0.2479 O
0.4103 0.4387 0.2479 O
0.4335 0.1180 0.8949 O
0.4335 0.3820 0.8949 O
0.4359 0.1197 0.6018 O
0.4359 0.3803 0.6018 O
0.4587 0.6084 0.4443 O
0.4587 0.8916 0.4443 O
0.4618 0.6070 0.0466 O
0.4618 0.8930 0.0466 O
0.4693 0.2500 0.1237 O
0.4769 0.2500 0.3724 O
0.4953 0.7500 0.2463 O
0.5047 0.2500 0.7537 O
0.5231 0.7500 0.6276 O
0.5307 0.7500 0.8763 O
0.5382 0.1070 0.9534 O
0.5382 0.3930 0.9534 O
0.5413 0.1084 0.5557 O
0.5413 0.3916 0.5557 O
0.5641 0.6197 0.3982 O
0.5641 0.8803 0.3982 O
0.5665 0.6180 0.1051 O
0.5665 0.8820 0.1051 O
0.5897 0.5613 0.7521 O
0.5897 0.9387 0.7521 O
0.5975 0.1105 0.2503 O
0.5975 0.3895 0.2503 O
0.6388 0.7500 0.6038 O
0.6495 0.2500 0.0630 O
0.6528 0.7500 0.8804 O
0.6545 0.2500 0.4401 O
0.6814 0.5978 0.3739 O
0.6814 0.9022 0.3739 O
0.6821 0.6093 0.1167 O
0.6821 0.8907 0.1167 O
0.7063 0.0109 0.8697 O
0.7063 0.4891 0.8697 O
0.7115 0.1209 0.2493 O
0.7115 0.3791 0.2493 O
0.7144 0.0594 0.6058 O
0.7144 0.4406 0.6058 O
0.7471 0.2500 0.7561 O
0.7529 0.7500 0.2561 O
0.7856 0.5594 0.1058 O
0.7856 0.9406 0.1058 O
0.7885 0.6209 0.7493 O
0.7885 0.8791 0.7493 O
0.7937 0.5109 0.3697 O
0.7937 0.9891 0.3697 O
0.8179 0.1093 0.6167 O
0.8179 0.3907 0.6167 O
0.8186 0.0978 0.8739 O
0.8186 0.4022 0.8739 O
0.8455 0.7500 0.9401 O
0.8472 0.2500 0.3804 O
0.8505 0.7500 0.5630 O
0.8612 0.2500 0.1038 O
0.9025 0.6105 0.7503 O
0.9025 0.8895 0.7503 O
0.9103 0.0613 0.2521 O
0.9103 0.4387 0.2521 O
0.9335 0.1180 0.6051 O
0.9335 0.3820 0.6051 O
0.9359 0.1197 0.8982 O
0.9359 0.3803 0.8982 O
0.9587 0.6084 0.0557 O
0.9587 0.8916 0.0557 O
0.9618 0.6070 0.4534 O
0.9618 0.8930 0.4534 O
0.9693 0.2500 0.3763 O
0.9769 0.2500 0.1276 O
0.9953 0.7500 0.2537 O
```

---

Name the most stable of them. a.

---

a.
VASP calculation (GGA+U) on crystalline Ni3O4 at its relaxed geometry.

Structure (POSCAR):
```
Ni3O4
1.0
9.6290 -1.4513 0.0000
9.6290 1.4513 0.0000
-0.1907 0.0000 5.0909
Ni O
6 8
Direct
0.0000 0.0000 0.0000 Ni
0.1262 0.1262 0.3673 Ni
0.2428 0.2428 0.7513 Ni
0.5000 0.5000 0.5000 Ni
0.7572 0.7572 0.2487 Ni
0.8738 0.8738 0.6327 Ni
0.0515 0.0515 0.6485 O
0.1992 0.1992 0.0986 O
0.3104 0.3104 0.4536 O
0.4425 0.4425 0.7907 O
0.5575 0.5575 0.2093 O
0.6896 0.6896 0.5464 O
0.8008 0.8008 0.9014 O
0.9485 0.9485 0.3515 O
```

---

b.
VASP calculation (GGA+U) on crystalline Ni3O4 at its relaxed geometry.

Structure (POSCAR):
```
Ni3O4
1.0
0.0000 5.7584 0.0000
5.0051 2.8792 -0.9851
-2.4973 -2.8792 -4.4480
Ni O
6 8
Direct
0.5000 0.5000 0.0000 Ni
0.5000 0.5000 0.5000 Ni
0.0000 0.5000 0.5000 Ni
0.0000 0.5000 0.0000 Ni
0.0000 0.0000 0.0000 Ni
0.5000 0.0000 0.0000 Ni
0.2500 0.7058 0.2059 O
0.7500 0.7058 0.2059 O
0.2500 0.2942 0.7941 O
0.7500 0.2942 0.7941 O
0.2271 0.2729 0.2271 O
0.7271 0.2729 0.2271 O
0.2729 0.7271 0.7729 O
0.7729 0.7271 0.7729 O
```

---

Name the most stable of them. b.